No. 1
# GGA-PBE LiMg6BO7, relaxed
data_LiMg6BO7
_chemical_formula_sum 'Li1 Mg6 B1 O7'
_cell_length_a 4.323
_cell_length_b 4.323
_cell_length_c 8.065
_cell_angle_alpha 90.00
_cell_angle_beta 90.00
_cell_angle_gamma 90.00
_space_group_name_H-M_alt 'P 1'
_space_group_IT_number 1
loop_
_space_group_symop_operation_xyz
'x,y,z'
loop_
_atom_site_label
_atom_site_type_symbol
_atom_site_fract_x
_atom_site_fract_y
_atom_site_fract_z
_atom_site_occupancy
Li1 Li 0.000 0.000 0.000 1
Mg1 Mg 0.000 0.500 0.249 1
Mg2 Mg 0.000 0.500 0.741 1
Mg3 Mg 0.500 0.000 0.249 1
Mg4 Mg 0.500 0.000 0.741 1
Mg5 Mg 0.500 0.500 0.492 1
Mg6 Mg 0.500 0.500 0.999 1
B1 B 0.000 0.000 0.497 1
O1 O 0.000 0.000 0.320 1
O2 O 0.000 0.000 0.673 1
O3 O 0.000 0.500 0.495 1
O4 O 0.000 0.500 0.995 1
O5 O 0.500 0.000 0.495 1
O6 O 0.500 0.000 0.995 1
O7 O 0.500 0.500 0.745 1
# Size of the total moment, μB/atom: 0.00
# E (MP2020), eV/atom: -5.941
# ρ, g/cm3: 3.04

***

No. 2
# GGA-PBE CsRb2TbCl6, relaxed
data_CsRb2TbCl6
_chemical_formula_sum 'Cs1 Rb2 Tb1 Cl6'
_cell_length_a 8.368
_cell_length_b 8.368
_cell_length_c 8.368
_cell_angle_alpha 60.00
_cell_angle_beta 60.00
_cell_angle_gamma 60.00
_space_group_name_H-M_alt 'P 1'
_space_group_IT_number 1
loop_
_space_group_symop_operation_xyz
'x,y,z'
loop_
_atom_site_label
_atom_site_type_symbol
_atom_site_fract_x
_atom_site_fract_y
_atom_site_fract_z
_atom_site_occupancy
Cs1 Cs 0.000 0.000 0.000 1
Rb1 Rb 0.250 0.250 0.250 1
Rb2 Rb 0.750 0.750 0.750 1
Tb1 Tb 0.500 0.500 0.500 1
Cl1 Cl 0.276 0.276 0.724 1
Cl2 Cl 0.276 0.724 0.276 1
Cl3 Cl 0.276 0.724 0.724 1
Cl4 Cl 0.724 0.276 0.276 1
Cl5 Cl 0.724 0.276 0.724 1
Cl6 Cl 0.724 0.724 0.276 1
# Size of the total moment, μB/atom: 0.00
# E (MP2020), eV/atom: -4.282
# ρ, g/cm3: 2.71

***

No. 3
# GGA-PBE La5Si5I3, relaxed
data_La5Si5I3
_chemical_formula_sum 'La10 Si10 I6'
_cell_length_a 12.308
_cell_length_b 12.308
_cell_length_c 15.837
_cell_angle_alpha 110.20
_cell_angle_beta 110.20
_cell_angle_gamma 19.97
_space_group_name_H-M_alt 'P 1'
_space_group_IT_number 1
loop_
_space_group_symop_operation_xyz
'x,y,z'
loop_
_atom_site_label
_atom_site_type_symbol
_atom_site_fract_x
_atom_site_fract_y
_atom_site_fract_z
_atom_site_occupancy
La1 La 0.017 0.017 0.291 1
La2 La 0.086 0.086 0.563 1
La3 La 0.164 0.164 0.834 1
La4 La 0.262 0.262 0.671 1
La5 La 0.338 0.338 0.942 1
La6 La 0.662 0.662 0.058 1
La7 La 0.738 0.738 0.329 1
La8 La 0.836 0.836 0.166 1
La9 La 0.914 0.914 0.437 1
La10 La 0.983 0.983 0.709 1
Si1 Si 0.241 0.241 0.190 1
Si2 Si 0.250 0.250 0.039 1
Si3 Si 0.328 0.328 0.319 1
Si4 Si 0.424 0.424 0.293 1
Si5 Si 0.492 0.492 0.573 1
Si6 Si 0.508 0.508 0.427 1
Si7 Si 0.576 0.576 0.707 1
Si8 Si 0.672 0.672 0.681 1
Si9 Si 0.750 0.750 0.961 1
Si10 Si 0.759 0.759 0.810 1
I1 I 0.061 0.061 0.933 1
I2 I 0.173 0.173 0.437 1
I3 I 0.409 0.409 0.795 1
I4 I 0.591 0.591 0.205 1
I5 I 0.827 0.827 0.563 1
I6 I 0.939 0.939 0.067 1
# E (MP2020), eV/atom: -5.455
# ρ, g/cm3: 5.26

***

No. 4
# GGA-PBE CuS2N2O8, relaxed
data_CuS2N2O8
_chemical_formula_sum 'Cu4 S8 N8 O32'
_cell_length_a 9.357
_cell_length_b 9.405
_cell_length_c 10.178
_cell_angle_alpha 113.85
_cell_angle_beta 92.46
_cell_angle_gamma 90.79
_space_group_name_H-M_alt 'P 1'
_space_group_IT_number 1
loop_
_space_group_symop_operation_xyz
'x,y,z'
loop_
_atom_site_label
_atom_site_type_symbol
_atom_site_fract_x
_atom_site_fract_y
_atom_site_fract_z
_atom_site_occupancy
Cu1 Cu 0.138 0.346 0.083 1
Cu2 Cu 0.355 0.066 0.333 1
Cu3 Cu 0.645 0.934 0.667 1
Cu4 Cu 0.862 0.654 0.917 1
S1 S 0.073 0.249 0.318 1
S2 S 0.132 0.670 0.122 1
S3 S 0.366 0.109 0.644 1
S4 S 0.439 0.291 0.217 1
S5 S 0.561 0.709 0.783 1
S6 S 0.634 0.891 0.356 1
S7 S 0.868 0.330 0.878 1
S8 S 0.927 0.751 0.682 1
N1 N 0.000 0.000 0.500 1
N2 N 0.199 0.464 0.693 1
N3 N 0.227 0.945 0.909 1
N4 N 0.316 0.669 0.454 1
N5 N 0.500 0.500 0.000 1
N6 N 0.684 0.331 0.546 1
N7 N 0.773 0.055 0.091 1
N8 N 0.801 0.536 0.307 1
O1 O 0.036 0.726 0.027 1
O2 O 0.060 0.657 0.241 1
O3 O 0.074 0.787 0.658 1
O4 O 0.091 0.195 0.156 1
O5 O 0.112 0.414 0.392 1
O6 O 0.168 0.146 0.366 1
O7 O 0.177 0.505 0.020 1
O8 O 0.236 0.132 0.724 1
O9 O 0.255 0.778 0.160 1
O10 O 0.333 0.001 0.484 1
O11 O 0.333 0.370 0.151 1
O12 O 0.382 0.122 0.175 1
O13 O 0.428 0.710 0.852 1
O14 O 0.437 0.253 0.655 1
O15 O 0.446 0.369 0.374 1
O16 O 0.459 0.013 0.704 1
O17 O 0.541 0.987 0.296 1
O18 O 0.554 0.631 0.626 1
O19 O 0.563 0.747 0.345 1
O20 O 0.572 0.290 0.148 1
O21 O 0.618 0.878 0.825 1
O22 O 0.667 0.630 0.849 1
O23 O 0.667 0.999 0.516 1
O24 O 0.745 0.222 0.840 1
O25 O 0.764 0.868 0.276 1
O26 O 0.823 0.495 0.980 1
O27 O 0.832 0.854 0.634 1
O28 O 0.888 0.586 0.608 1
O29 O 0.909 0.805 0.844 1
O30 O 0.926 0.213 0.342 1
O31 O 0.940 0.343 0.759 1
O32 O 0.964 0.274 0.973 1
# Size of the total moment, μB/atom: 0.38
# E (MP2020), eV/atom: -5.642
# ρ, g/cm3: 2.30

***

No. 5
# GGA-PBE Ti2NbAl, relaxed
data_Ti2NbAl
_chemical_formula_sum 'Ti8 Nb4 Al4'
_cell_length_a 6.061
_cell_length_b 9.509
_cell_length_c 4.675
_cell_angle_alpha 90.00
_cell_angle_beta 90.00
_cell_angle_gamma 90.00
_space_group_name_H-M_alt 'P 1'
_space_group_IT_number 1
loop_
_space_group_symop_operation_xyz
'x,y,z'
loop_
_atom_site_label
_atom_site_type_symbol
_atom_site_fract_x
_atom_site_fract_y
_atom_site_fract_z
_atom_site_occupancy
Ti1 Ti 0.234 0.097 0.250 1
Ti2 Ti 0.234 0.903 0.750 1
Ti3 Ti 0.266 0.403 0.750 1
Ti4 Ti 0.266 0.597 0.250 1
Ti5 Ti 0.734 0.403 0.750 1
Ti6 Ti 0.734 0.597 0.250 1
Ti7 Ti 0.766 0.097 0.250 1
Ti8 Ti 0.766 0.903 0.750 1
Nb1 Nb 0.000 0.363 0.250 1
Nb2 Nb 0.000 0.637 0.750 1
Nb3 Nb 0.500 0.137 0.750 1
Nb4 Nb 0.500 0.863 0.250 1
Al1 Al 0.000 0.165 0.750 1
Al2 Al 0.000 0.835 0.250 1
Al3 Al 0.500 0.335 0.250 1
Al4 Al 0.500 0.665 0.750 1
# ρ, g/cm3: 5.32

***

No. 6
# GGA-PBE NdCoGe, relaxed
data_NdCoGe
_chemical_formula_sum 'Nd2 Co2 Ge2'
_cell_length_a 4.141
_cell_length_b 4.141
_cell_length_c 6.954
_cell_angle_alpha 90.00
_cell_angle_beta 90.00
_cell_angle_gamma 90.00
_space_group_name_H-M_alt 'P 1'
_space_group_IT_number 1
loop_
_space_group_symop_operation_xyz
'x,y,z'
loop_
_atom_site_label
_atom_site_type_symbol
_atom_site_fract_x
_atom_site_fract_y
_atom_site_fract_z
_atom_site_occupancy
Nd1 Nd 0.250 0.250 0.192 1
Nd2 Nd 0.750 0.750 0.808 1
Co1 Co 0.250 0.750 0.500 1
Co2 Co 0.750 0.250 0.500 1
Ge1 Ge 0.250 0.250 0.683 1
Ge2 Ge 0.750 0.750 0.317 1
# ρ, g/cm3: 7.68

***

no.,ΔE_f (eV/atom)
1,-2.4191
2,-2.4238
3,-1.1182
4,-0.3626
5,-0.2761
6,-0.6067